VASP calculation (PBE with a Hubbard U) on crystalline Li3V3P8O29 at its relaxed geometry.

ΔE_f, meV/atom: -2519
Relative energy among the computed polymorphs, meV per atom: 14

a b c (Å): 16.9418 9.7732 14.2696
angles (deg): 90.00 90.63 90.00
With the nearest neighbours (Å) after each atom.
Space group Cc (No. 9)
Symmetry-distinct sites (fractional):
Li  0.0000  0.0661  0.0000 x4  2 O 1.90-1.97
Li  0.1882  0.4279  0.8813 x4  3 O 1.88-2.08
Li  0.3847  0.2307  0.3821 x4  3 O 1.91-2.05
V  0.0570  0.2210  0.1988 x4  6 O 1.82-2.00
V  0.1267  0.2819  0.6860 x4  6 O 1.83-1.96
V  0.3403  0.0644  0.1875 x4  6 O 1.85-1.99
P  0.0023  0.0736  0.7828 x4  4 O 1.50-1.60
P  0.0094  0.4938  0.8112 x4  4 O 1.48-1.61
P  0.1721  0.0031  0.0722 x4  4 O 1.48-1.60
P  0.1809  0.4259  0.0981 x4  4 O 1.47-1.61
P  0.2291  0.2998  0.2788 x4  4 O 1.48-1.62
P  0.3000  0.2295  0.7815 x4  4 O 1.47-1.64
P  0.3856  0.2278  0.5997 x4  4 O 1.48-1.60
P  0.4545  0.2990  0.1023 x4  4 O 1.48-1.63
O  0.0090  0.3540  0.2675 x4  1 P 1.61
O  0.0120  0.4955  0.9152 x4  1 P 1.48
O  0.0137  0.0836  0.2756 x4  1 P 1.55
O  0.0323  0.2852  0.6185 x4  1 P 1.57
O  0.0818  0.1447  0.7636 x4  1 P 1.54
O  0.0848  0.4239  0.7692 x4  1 P 1.57
O  0.0979  0.0764  0.1129 x4  1 P 1.56
O  0.1012  0.3556  0.1222 x4  1 P 1.56
O  0.1517  0.2134  0.2644 x4  1 P 1.57
O  0.1700  0.4166  0.6106 x4  1 P 1.56
O  0.1721  0.0013  0.4684 x4  1 P 1.48
O  0.1738  0.1471  0.6170 x4  1 P 1.60
O  0.2130  0.3857  0.0066 x4  1 P 1.47
O  0.2139  0.2881  0.7761 x4  1 P 1.57
O  0.2258  0.3909  0.3614 x4  1 P 1.48
O  0.2399  0.3851  0.1827 x4  2 P 1.61-1.62
O  0.2483  0.0745  0.1164 x4  1 P 1.59
O  0.2957  0.0716  0.7606 x4  1 P 1.57
O  0.3011  0.2018  0.2791 x4  1 P 1.55
O  0.3384  0.2914  0.6856 x4  2 P 1.60-1.64
O  0.3435  0.2673  0.8672 x4  1 P 1.47
O  0.3485  0.2565  0.5073 x4  1 P 1.48
O  0.3839  0.1993  0.1078 x4  1 P 1.55
O  0.3910  0.0703  0.6204 x4  1 P 1.57
O  0.4336  0.0794  0.2702 x4  1 P 1.58
O  0.4440  0.3893  0.1972 x4  2 P 1.60-1.63
O  0.4579  0.3887  0.0193 x4  1 P 1.48
O  0.4655  0.3806  0.3725 x4  1 P 1.50
O  0.4700  0.2909  0.6077 x4  1 P 1.56